VASP calculation (GGA-PBE) on SrS2O10 after structural relaxation.

## Properties
For the formation energy, the calculation gives -1278.5 meV per atom. Its MP2020-corrected energy is -5.85 eV/atom.

Cell lengths 6.7374, 6.7374, 18.0013 Å; angles 90.00, 90.00, 120.00 degrees
With the nearest neighbours (Å) after each atom.
Fractional coordinates of all 39 atoms:
1 Sr 0.0000 0.0000 0.0000  4 O 2.47
2 Sr 0.0000 0.0000 0.3333  4 O 2.47
3 Sr 0.0000 0.0000 0.6667  4 O 2.47
4 S 0.0914 0.6906 0.1663  3 O 1.44-1.48
5 S 0.3094 0.4008 0.8330  3 O 1.44-1.48
6 S 0.4008 0.0914 0.4997  3 O 1.44-1.48
7 S 0.5992 0.9086 0.4997  3 O 1.44-1.48
8 S 0.6906 0.5992 0.8330  3 O 1.44-1.48
9 S 0.9086 0.3094 0.1663  3 O 1.44-1.48
10 O 0.0002 0.2526 0.0997  1 S 1.48
11 O 0.9998 0.7474 0.0997  1 S 1.48
12 O 0.0143 0.7515 0.2354  1 S 1.48
13 O 0.2372 0.5694 0.8306  1 S 1.44
14 O 0.2485 0.2628 0.9020  1 S 1.48
15 O 0.2523 0.9998 0.4331  1 S 1.48
16 O 0.2526 0.2523 0.7664  1 S 1.48
17 O 0.2628 0.0143 0.5687  1 S 1.48
18 O 0.2650 0.7074 0.6828  1 O 1.23
19 O 0.2728 0.5512 0.6500  1 O 1.23
20 O 0.2784 0.7272 0.9833  1 O 1.23
21 O 0.2926 0.5576 0.3495  1 O 1.23
22 O 0.3322 0.7628 0.1639  1 S 1.44
23 O 0.4306 0.6678 0.4972  1 S 1.44
24 O 0.4424 0.7350 0.0161  1 O 1.23
25 O 0.4488 0.7216 0.3166  1 O 1.23
26 O 0.5512 0.2784 0.3166  1 O 1.23
27 O 0.5576 0.2650 0.0161  1 O 1.23
28 O 0.5694 0.3322 0.4972  1 S 1.44
29 O 0.6678 0.2372 0.1639  1 S 1.44
30 O 0.7074 0.4424 0.3495  1 O 1.23
31 O 0.7216 0.2728 0.9833  1 O 1.23
32 O 0.7272 0.4488 0.6500  1 O 1.23
33 O 0.7350 0.2926 0.6828  1 O 1.23
34 O 0.7372 0.9857 0.5687  1 S 1.48
35 O 0.7474 0.7477 0.7664  1 S 1.48
36 O 0.7477 0.0002 0.4331  1 S 1.48
37 O 0.7515 0.7372 0.9020  1 S 1.48
38 O 0.7628 0.4306 0.8306  1 S 1.44
39 O 0.9857 0.2485 0.2354  1 S 1.48